No. 1
First-principles (PBE+U) data for Ca10V3P3O24F2 after structural relaxation, as listed in the Materials Project database.

Cell: 9.692 9.692 6.989 Å, 90.00 90.00 120.00°
Sites, in units of the cell vectors:
Ca 0.000 0.000 0.244
Ca 0.000 0.000 0.756
Ca 0.088 0.665 0.500
Ca 0.089 0.429 0.000
Ca 0.335 0.423 0.500
Ca 0.340 0.911 0.000
Ca 0.571 0.660 0.000
Ca 0.577 0.912 0.500
Ca 0.667 0.333 0.248
Ca 0.667 0.333 0.752
V 0.304 0.036 0.500
V 0.732 0.696 0.500
V 0.964 0.268 0.500
P 0.362 0.296 0.000
P 0.704 0.066 0.000
P 0.934 0.638 0.000
O 0.000 0.820 0.000
O 0.090 0.333 0.305
O 0.090 0.333 0.695
O 0.180 0.180 0.000
O 0.199 0.140 0.500
O 0.244 0.910 0.305
O 0.244 0.910 0.695
O 0.417 0.407 0.178
O 0.417 0.407 0.822
O 0.455 0.202 0.000
O 0.509 0.156 0.500
O 0.593 0.010 0.178
O 0.593 0.010 0.822
O 0.647 0.491 0.500
O 0.667 0.756 0.305
O 0.667 0.756 0.695
O 0.747 0.545 0.000
O 0.798 0.253 0.000
O 0.820 0.000 0.000
O 0.844 0.353 0.500
O 0.860 0.059 0.500
O 0.941 0.801 0.500
O 0.990 0.583 0.178
O 0.990 0.583 0.822
F 0.333 0.667 0.000
F 0.333 0.667 0.500

The calculation puts the formation energy at -137.2 eV per formula unit. The magnetization comes out at 0.011 μB per formula unit.



No. 2
First-principles (PBE+U) data for SrCrO3 after structural relaxation, as listed in the Materials Project database.

Cell: 5.532 5.553 13.686 Å, 89.99 89.99 60.19°
Sites, in units of the cell vectors:
Sr 0.000 0.000 0.000
Sr 0.000 0.000 0.314
Sr 0.334 0.333 0.500
Sr 0.334 0.333 0.814
Sr 0.670 0.667 0.157
Sr 0.672 0.667 0.657
Cr 0.006 0.003 0.751
Cr 0.006 0.004 0.562
Cr 0.344 0.329 0.062
Cr 0.344 0.329 0.251
Cr 0.672 0.665 0.906
Cr 0.673 0.666 0.407
O 0.153 0.695 0.657
O 0.162 0.157 0.657
O 0.179 0.184 0.157
O 0.180 0.638 0.157
O 0.335 0.828 0.488
O 0.335 0.828 0.826
O 0.493 0.005 0.989
O 0.495 0.005 0.325
O 0.495 0.505 0.988
O 0.497 0.505 0.325
O 0.651 0.176 0.156
O 0.697 0.149 0.656
O 0.826 0.827 0.826
O 0.827 0.827 0.487
O 0.831 0.328 0.825
O 0.832 0.328 0.489
O 0.988 0.505 0.986
O 0.989 0.505 0.327

The calculation puts the formation energy at -12.9 eV per formula unit. The magnetization comes out at 2.000 μB per formula unit.



No. 3
First-principles (PBE+U) data for CoBP2HPbO9 after structural relaxation, as listed in the Materials Project database.

Cell: 5.282 7.879 8.482 Å, 89.96 80.22 87.66°
Sites, in units of the cell vectors:
Co 0.233 0.298 0.199
Co 0.767 0.702 0.801
B 0.384 0.250 0.543
B 0.616 0.750 0.457
P 0.271 0.434 0.822
P 0.312 0.930 0.699
P 0.688 0.070 0.301
P 0.729 0.566 0.178
H 0.037 0.350 0.500
H 0.963 0.650 0.500
Pb 0.221 0.805 0.089
Pb 0.779 0.195 0.911
O 0.008 0.529 0.205
O 0.067 0.881 0.813
O 0.212 0.330 0.442
O 0.243 0.105 0.626
O 0.267 0.287 0.946
O 0.368 0.799 0.556
O 0.400 0.593 0.870
O 0.449 0.366 0.665
O 0.457 0.064 0.214
O 0.543 0.936 0.786
O 0.551 0.634 0.335
O 0.600 0.407 0.130
O 0.632 0.201 0.444
O 0.733 0.713 0.054
O 0.757 0.895 0.374
O 0.788 0.670 0.558
O 0.933 0.119 0.187
O 0.992 0.471 0.795

The calculation puts the formation energy at -34.8 eV per formula unit. The magnetization comes out at 3.000 μB per formula unit.